DFT (PBE-GGA) results for HoCu2SeO2 after structural relaxation.

Geometry as POSCAR:
```
HoCu2SeO2
1.0
-0.4565 0.1839 3.4837
2.8871 -1.9522 0.4814
6.6363 9.8996 0.3469
Ho Cu Se O
1 2 1 2
Direct
0.5000 0.5000 0.5000
0.5000 0.5000 0.1826
0.5000 0.5000 0.8174
0.5000 0.5000 0.0000
0.5000 0.5000 0.6704
0.5000 0.5000 0.3296
```

- Total moment: 0.04 Bohr magnetons per cell
- DFT total energy: -4.797 eV/atom
- Corrected total energy (MP2020 scheme): -30.16 eV/cell